[1]
First-principles (meta-GGA r2SCAN) data for a geometry-optimized Cu4Pd structure, as listed in the Materials Project.

Lattice parameters (Å, degrees): 5.830 5.830 7.191 90.00 90.00 90.00
Fractional positions:
Cu  0.000  0.000  0.000
Cu  0.000  0.000  0.500
Cu  0.096  0.296  0.249
Cu  0.096  0.296  0.751
Cu  0.192  0.605  0.000
Cu  0.296  0.904  0.251
Cu  0.296  0.904  0.749
Cu  0.395  0.192  0.500
Cu  0.500  0.500  0.250
Cu  0.500  0.500  0.750
Cu  0.605  0.808  0.500
Cu  0.704  0.096  0.251
Cu  0.704  0.096  0.749
Cu  0.808  0.395  0.000
Cu  0.904  0.704  0.249
Cu  0.904  0.704  0.751
Pd  0.208  0.603  0.500
Pd  0.397  0.208  0.000
Pd  0.603  0.792  0.000
Pd  0.792  0.397  0.500

## Properties
* theoretical density: 9800 kg/m3
* magnetic moment: 0.00 μB/f.u.
* energy relative to the elements: -64 meV per atom
* crystal system: tetragonal



[2]
First-principles (meta-GGA r2SCAN) data for a geometry-optimized LaPPt structure, as listed in the Materials Project.

Lattice parameters (Å, degrees): 4.221 8.257 7.297 90.00 90.00 90.00
Fractional positions:
La  0.750  0.500  0.250
La  0.250  0.000  0.750
La  0.750  0.000  0.250
La  0.250  0.500  0.750
P  0.250  0.750  0.417
P  0.250  0.250  0.083
P  0.750  0.250  0.583
P  0.750  0.750  0.917
Pt  0.250  0.750  0.083
Pt  0.250  0.250  0.417
Pt  0.750  0.750  0.583
Pt  0.750  0.250  0.917

## Properties
* theoretical density: 9531 kg/m3
* magnetic moment: 0.00 μB/f.u.
* energy relative to the elements: -1560 meV per atom



[3]
First-principles (meta-GGA r2SCAN) data for a geometry-optimized Yb3Dy structure, as listed in the Materials Project.

Lattice parameters (Å, degrees): 7.126 7.126 5.498 90.00 90.00 120.00
Fractional positions:
Yb  0.166  0.333  0.250
Yb  0.166  0.834  0.250
Yb  0.333  0.166  0.750
Yb  0.667  0.834  0.250
Yb  0.834  0.166  0.750
Yb  0.834  0.667  0.750
Dy  0.333  0.667  0.750
Dy  0.667  0.333  0.250

## Properties
* theoretical density: 9362 kg/m3
* magnetic moment: 0.00 μB/f.u.
* energy relative to the elements: -11 meV per atom
* crystal system: hexagonal



[4]
First-principles (meta-GGA r2SCAN) data for a geometry-optimized CaLaFeSbO6 structure, as listed in the Materials Project.

Lattice parameters (Å, degrees): 5.543 5.686 7.986 90.40 90.50 91.80
Fractional positions:
Ca  0.000  0.000  0.000
Ca  0.491  0.395  0.496
La  0.015  0.902  0.496
La  0.529  0.492  0.996
Fe  0.011  0.448  0.248
Fe  0.513  0.946  0.746
Sb  0.013  0.445  0.746
Sb  0.508  0.949  0.245
O  0.104  0.412  0.986
O  0.209  0.169  0.692
O  0.226  0.144  0.292
O  0.307  0.648  0.699
O  0.312  0.656  0.296
O  0.412  0.920  0.006
O  0.597  0.980  0.485
O  0.712  0.238  0.200
O  0.724  0.237  0.793
O  0.795  0.757  0.199
O  0.823  0.727  0.803
O  0.910  0.476  0.508

## Properties
* theoretical density: 5975 kg/m3
* magnetic moment: 4.00 μB/f.u.
* energy relative to the elements: -2537 meV per atom
* crystal system: triclinic